# 1
A geometry-optimized CoPb3 structure, computed with PBE.

Results
symmetry	Fm-3m
calculated formation energy	575	meV/atom

a b c (Å): 5.2268 5.2268 5.2268
angles (deg): 60.00 60.00 60.00
Atoms (fractional coordinates):
Co 0.0000 0.0000 0.0000
Pb 0.2500 0.2500 0.2500
Pb 0.5000 0.5000 0.5000
Pb 0.7500 0.7500 0.7500

# 2
A geometry-optimized TcC5O5 structure, computed with PBE.

Results
total energy after the MP2020 corrections	-8.41	eV per atom
symmetry	C2/c
calculated formation energy	-1026	meV/atom

a b c (Å): 9.7258 9.7258 14.7636
angles (deg): 123.59 123.59 43.73
Atoms (fractional coordinates):
Tc 0.1597 0.6998 0.7770
Tc 0.3002 0.8403 0.7230
Tc 0.6998 0.1597 0.2770
Tc 0.8403 0.3002 0.2230
C 0.0062 0.0414 0.6512
C 0.0414 0.0062 0.1512
C 0.0431 0.2648 0.3744
C 0.0750 0.5991 0.8042
C 0.2648 0.0431 0.8744
C 0.3097 0.6280 0.5749
C 0.3720 0.6903 0.9251
C 0.3779 0.4138 0.7067
C 0.4009 0.9250 0.6958
C 0.4138 0.3779 0.2067
C 0.5862 0.6221 0.7933
C 0.5991 0.0750 0.3042
C 0.6221 0.5862 0.2933
C 0.6280 0.3097 0.0749
C 0.6903 0.3720 0.4251
C 0.7352 0.9569 0.1256
C 0.9250 0.4009 0.1958
C 0.9569 0.7352 0.6256
C 0.9586 0.9938 0.8488
C 0.9938 0.9586 0.3488
O 0.0227 0.5356 0.8163
O 0.1557 0.8382 0.1054
O 0.1616 0.2438 0.4620
O 0.1618 0.8443 0.3946
O 0.2438 0.1616 0.9620
O 0.2484 0.5067 0.1685
O 0.3090 0.5096 0.4876
O 0.4644 0.9773 0.6837
O 0.4904 0.6910 0.0124
O 0.4933 0.7516 0.3315
O 0.5067 0.2484 0.6685
O 0.5096 0.3090 0.9876
O 0.5356 0.0227 0.3163
O 0.6910 0.4904 0.5124
O 0.7516 0.4933 0.8315
O 0.7562 0.8384 0.0380
O 0.8382 0.1557 0.6054
O 0.8384 0.7562 0.5380
O 0.8443 0.1618 0.8946
O 0.9773 0.4644 0.1837

# 3
A geometry-optimized V2CuBr structure, computed with PBE.

Results
total energy after the MP2020 corrections	-5.46	eV per atom
symmetry	Fm-3m
calculated formation energy	515	meV/atom

a b c (Å): 4.3211 4.3211 4.3211
angles (deg): 60.00 60.00 60.00
Atoms (fractional coordinates):
V 0.2500 0.2500 0.2500
V 0.7500 0.7500 0.7500
Cu 0.0000 0.0000 0.0000
Br 0.5000 0.5000 0.5000

# 4
A geometry-optimized Cs3ScI6 structure, computed with PBE.

Results
total energy after the MP2020 corrections	-3.44	eV per atom
symmetry	Fm-3m
calculated formation energy	-1629	meV/atom

a b c (Å): 9.2294 9.2294 9.2294
angles (deg): 60.00 60.00 60.00
Atoms (fractional coordinates):
Cs 0.0000 0.0000 0.0000
Cs 0.2500 0.2500 0.2500
Cs 0.7500 0.7500 0.7500
Sc 0.5000 0.5000 0.5000
I 0.2780 0.2780 0.7220
I 0.2780 0.7220 0.2780
I 0.2780 0.7220 0.7220
I 0.7220 0.2780 0.2780
I 0.7220 0.2780 0.7220
I 0.7220 0.7220 0.2780

# 5
A geometry-optimized MgHg3 structure, computed with PBE.

Results
symmetry	Imm2
calculated formation energy	-61	meV/atom

a b c (Å): 6.3690 6.3690 6.3690
angles (deg): 150.44 59.82 129.26
Atoms (fractional coordinates):
Mg 0.0000 0.0000 0.0000
Hg 0.0786 0.3562 0.7225
Hg 0.4664 0.9664 0.5000
Hg 0.6337 0.3562 0.2775

# 6
A geometry-optimized SrSn4 structure, computed with PBE.

Results
symmetry	Cmcm
calculated formation energy	-307	meV/atom

a b c (Å): 9.1272 9.1272 7.2084
angles (deg): 90.00 90.00 150.40
Atoms (fractional coordinates):
Sr 0.1122 0.8878 0.7500
Sr 0.8878 0.1122 0.2500
Sn 0.0904 0.9096 0.2500
Sn 0.3050 0.6950 0.5456
Sn 0.3050 0.6950 0.9544
Sn 0.5000 0.5000 0.0000
Sn 0.5000 0.5000 0.5000
Sn 0.6950 0.3050 0.0456
Sn 0.6950 0.3050 0.4544
Sn 0.9096 0.0904 0.7500

# 7
A geometry-optimized BaU2S5 structure, computed with PBE.

Results
total energy after the MP2020 corrections	-7.57	eV per atom
energy above the most stable polymorph in this dataset	0	meV/atom
symmetry	P2_1/c
calculated formation energy	-1920	meV/atom

a b c (Å): 8.4690 7.4964 11.7701
angles (deg): 90.00 90.57 90.00
Atoms (fractional coordinates):
Ba 0.0095 0.0551 0.3318
Ba 0.0095 0.4449 0.8318
Ba 0.9905 0.5551 0.1682
Ba 0.9905 0.9449 0.6682
U 0.2582 0.5669 0.4918
U 0.2582 0.9331 0.9918
U 0.5005 0.0202 0.3178
U 0.5005 0.4798 0.8178
U 0.4995 0.5202 0.1822
U 0.4995 0.9798 0.6822
U 0.7418 0.0669 0.0082
U 0.7418 0.4331 0.5082
S 0.0351 0.1745 0.0704
S 0.0351 0.3255 0.5704
S 0.2776 0.6889 0.7144
S 0.2776 0.8111 0.2144
S 0.2856 0.1592 0.8125
S 0.2856 0.3408 0.3125
S 0.2954 0.5520 0.9977
S 0.2954 0.9480 0.4977
S 0.4564 0.1620 0.0985
S 0.4564 0.3380 0.5985
S 0.5436 0.6620 0.4015
S 0.5436 0.8380 0.9015
S 0.7046 0.0520 0.5023
S 0.7046 0.4480 0.0023
S 0.7144 0.6592 0.6875
S 0.7144 0.8408 0.1875
S 0.7224 0.1889 0.7856
S 0.7224 0.3111 0.2856
S 0.9649 0.6745 0.4296
S 0.9649 0.8255 0.9296

# 8
A geometry-optimized Eu3Th structure, computed with PBE.

Results
energy above the most stable polymorph in this dataset	27	meV/atom
symmetry	Fm-3m
calculated formation energy	247	meV/atom

a b c (Å): 5.9895 5.9895 5.9895
angles (deg): 60.00 60.00 60.00
Atoms (fractional coordinates):
Eu 0.0000 0.0000 0.0000
Eu 0.2500 0.2500 0.2500
Eu 0.7500 0.7500 0.7500
Th 0.5000 0.5000 0.5000

# 9
A geometry-optimized LiGaGe structure, computed with PBE.

Results
symmetry	P6_3mc
calculated formation energy	-267	meV/atom

a b c (Å): 4.2313 4.2313 6.8646
angles (deg): 90.00 90.00 120.00
Atoms (fractional coordinates):
Li 0.0000 0.0000 0.0000
Li 0.0000 0.0000 0.5000
Ga 0.3333 0.6667 0.2993
Ga 0.6667 0.3333 0.7993
Ge 0.3333 0.6667 0.6844
Ge 0.6667 0.3333 0.1844

# 10
A geometry-optimized Mg2Si structure, computed with PBE.

Results
total energy after the MP2020 corrections	-2.80	eV per atom
symmetry	P1
calculated formation energy	71	meV/atom

a b c (Å): 6.2991 6.5895 7.2651
angles (deg): 67.37 75.62 63.60
Atoms (fractional coordinates):
Mg 0.0000 0.0000 0.0000
Mg 0.0155 0.4119 0.1704
Mg 0.2032 0.6777 0.7319
Mg 0.3131 0.1213 0.5982
Mg 0.4673 0.9003 0.2484
Mg 0.5319 0.4425 0.0971
Mg 0.8132 0.5140 0.6600
Mg 0.8433 0.0149 0.4430
Si 0.1582 0.6179 0.3604
Si 0.5368 0.2192 0.8493
Si 0.5495 0.4357 0.4802
Si 0.7186 0.7974 0.8855

# 11
A geometry-optimized Be3Rh structure, computed with PBE.

Results
symmetry	P6_3/mmc
calculated formation energy	-442	meV/atom

a b c (Å): 4.8320 4.8320 3.7456
angles (deg): 90.00 90.00 120.00
Atoms (fractional coordinates):
Be 0.1590 0.3179 0.2500
Be 0.1590 0.8410 0.2500
Be 0.3179 0.1590 0.7500
Be 0.6821 0.8410 0.2500
Be 0.8410 0.1590 0.7500
Be 0.8410 0.6821 0.7500
Rh 0.3333 0.6667 0.7500
Rh 0.6667 0.3333 0.2500

# 12
A geometry-optimized Er3S3OF structure, computed with PBE.

Results
total energy after the MP2020 corrections	-7.17	eV per atom
symmetry	I-4m2
calculated formation energy	-3052	meV/atom

a b c (Å): 10.8237 10.8237 10.8237
angles (deg): 159.98 159.98 28.47
Atoms (fractional coordinates):
Er 0.0000 0.0000 0.0000
Er 0.3136 0.3136 0.0000
Er 0.6864 0.6864 0.0000
S 0.1286 0.1286 0.0000
S 0.5000 0.5000 0.0000
S 0.8714 0.8714 0.0000
O 0.2500 0.7500 0.5000
F 0.7500 0.2500 0.5000

# 13
A geometry-optimized Na6Zn4SiS5O24 structure, computed with PBE.

Results
total energy after the MP2020 corrections	-6.02	eV per atom
symmetry	P1
calculated formation energy	-2075	meV/atom

a b c (Å): 9.0083 9.0262 22.0371
angles (deg): 88.83 88.03 60.47
Atoms (fractional coordinates):
Na 0.0000 0.0000 0.0000
Na 0.9997 0.6289 0.2538
Na 0.0134 0.6483 0.7537
Na 0.0329 0.2835 0.8451
Na 0.0423 0.9201 0.3381
Na 0.2950 0.6704 0.8393
Na 0.3043 0.3112 0.3328
Na 0.3374 0.5921 0.1779
Na 0.3367 0.9643 0.9245
Na 0.3510 0.9367 0.4219
Na 0.3834 0.6259 0.5008
Na 0.6416 0.9807 0.5026
Na 0.6586 0.6621 0.3484
Na 0.6682 0.2941 0.5920
Na 0.6693 0.2955 0.0888
Na 0.6837 0.9334 0.8358
Na 0.7046 0.5939 0.6656
Na 0.9909 0.2763 0.5115
Zn 0.0019 0.6391 0.9125
Zn 0.0032 0.6327 0.4102
Zn 0.3160 0.9635 0.7670
Zn 0.3377 0.9501 0.2654
Zn 0.3403 0.9675 0.0767
Zn 0.3507 0.9492 0.5772
Zn 0.6556 0.3069 0.2432
Zn 0.6619 0.3326 0.4349
Zn 0.6770 0.2893 0.9335
Zn 0.6832 0.2683 0.7440
Zn 0.9977 0.6240 0.1012
Zn 0.9981 0.6250 0.6007
Si 0.3582 0.6037 0.3380
Si 0.7046 0.6290 0.5074
Si 0.9724 0.9909 0.8429
S 0.0022 0.9291 0.5064
S 0.0028 0.3323 0.0057
S 0.0316 0.9644 0.1711
S 0.0375 0.2644 0.6717
S 0.3019 0.3277 0.5062
S 0.3069 0.6267 0.0074
S 0.3349 0.2594 0.1730
S 0.3367 0.6533 0.6728
S 0.3745 0.2972 0.8397
S 0.6304 0.9661 0.6736
S 0.6387 0.6631 0.1719
S 0.6682 0.0053 0.3397
S 0.6687 0.5913 0.8369
S 0.6994 0.9282 0.0069
S 0.9680 0.2906 0.3375
O 0.0177 0.4141 0.9475
O 0.0219 0.4373 0.6700
O 0.0234 0.8023 0.1681
O 0.0379 0.8277 0.4497
O 0.1185 0.9830 0.1148
O 0.1272 0.1637 0.6164
O 0.1288 0.1803 0.7279
O 0.1359 0.9415 0.2259
O 0.1444 0.1433 0.3312
O 0.1494 0.9606 0.5118
O 0.1560 0.1563 0.0074
O 0.1647 0.9729 0.8345
O 0.1663 0.6214 0.3455
O 0.1819 0.4352 0.1713
O 0.1836 0.6342 0.6683
O 0.1959 0.4420 0.8463
O 0.2022 0.6496 0.9528
O 0.2086 0.4020 0.4491
O 0.2195 0.4451 0.5578
O 0.2209 0.6075 0.0639
O 0.3049 0.1612 0.5145
O 0.3151 0.7888 0.0105
O 0.3159 0.7539 0.7287
O 0.3205 0.1775 0.2312
O 0.3411 0.7945 0.3316
O 0.3448 0.1594 0.1199
O 0.3593 0.7404 0.6174
O 0.3668 0.1361 0.8338
O 0.4396 0.4830 0.2779
O 0.4473 0.3377 0.7844
O 0.4744 0.5273 0.3985
O 0.4766 0.2757 0.8938
O 0.4785 0.4758 0.0017
O 0.4818 0.2931 0.5019
O 0.4909 0.2785 0.1720
O 0.4977 0.4865 0.6757
O 0.5072 0.9960 0.3360
O 0.5115 0.8003 0.5106
O 0.5233 0.7700 0.8338
O 0.5236 0.7547 0.1214
O 0.5272 0.9450 0.0142
O 0.5364 0.9492 0.7285
O 0.5391 0.9766 0.6170
O 0.5657 0.7554 0.2306
O 0.6304 0.5120 0.8904
O 0.6461 0.1213 0.6756
O 0.6509 0.4911 0.1746
O 0.6547 0.0978 0.3969
O 0.6863 0.0999 0.0046
O 0.6864 0.4554 0.5050
O 0.6877 0.4956 0.7802
O 0.6968 0.0902 0.2862
O 0.7728 0.8358 0.9481
O 0.7933 0.6607 0.4458
O 0.8014 0.8083 0.6727
O 0.8111 0.6452 0.1644
O 0.8144 0.8358 0.0574
O 0.8162 0.5987 0.5678
O 0.8164 0.8287 0.3397
O 0.8303 0.5976 0.8432
O 0.8407 0.0743 0.7876
O 0.8413 0.0957 0.5025
O 0.8466 0.3142 0.0067
O 0.8601 0.1154 0.1766
O 0.8603 0.2880 0.6735
O 0.8602 0.3072 0.2864
O 0.8982 0.1080 0.9045
O 0.8991 0.2568 0.3962
O 0.9779 0.4503 0.3405
O 0.9827 0.8384 0.5599
O 0.9940 0.4315 0.0589
O 0.9977 0.7960 0.8475

# 14
A geometry-optimized GdMn2Si2 structure, computed with PBE.

Results
total energy after the MP2020 corrections	-8.16	eV per atom
symmetry	I4/mmm
calculated formation energy	493	meV/atom

a b c (Å): 5.7536 5.7536 5.7536
angles (deg): 140.12 140.12 57.66
Atoms (fractional coordinates):
Gd 0.0000 0.0000 0.0000
Mn 0.2500 0.7500 0.5000
Mn 0.7500 0.2500 0.5000
Si 0.3733 0.3733 0.0000
Si 0.6267 0.6267 0.0000

# 15
A geometry-optimized YZn structure, computed with PBE.

Results
symmetry	Pm-3m
calculated formation energy	-367	meV/atom

a b c (Å): 3.5854 3.5854 3.5854
angles (deg): 90.00 90.00 90.00
Atoms (fractional coordinates):
Y 0.0000 0.0000 0.0000
Zn 0.5000 0.5000 0.5000

# 16
A geometry-optimized Zr2Ga3Ni structure, computed with PBE.

Results
symmetry	Cm
calculated formation energy	-593	meV/atom

a b c (Å): 5.3521 5.3521 6.5796
angles (deg): 127.45 127.45 45.83
Atoms (fractional coordinates):
Zr 0.0000 0.0000 0.0000
Zr 0.0829 0.0829 0.5802
Ga 0.3668 0.3668 0.1618
Ga 0.3984 0.3984 0.6243
Ga 0.7049 0.7049 0.4038
Ni 0.7121 0.7121 0.0230

# 17
A geometry-optimized Sm3Os structure, computed with PBE.

Results
symmetry	Pnma
calculated formation energy	-158	meV/atom

a b c (Å): 7.4808 9.4432 6.4665
angles (deg): 90.00 90.00 90.00
Atoms (fractional coordinates):
Sm 0.0402 0.2500 0.1367
Sm 0.1766 0.0648 0.6693
Sm 0.1766 0.4352 0.6693
Sm 0.3234 0.5648 0.1693
Sm 0.3234 0.9352 0.1693
Sm 0.4598 0.7500 0.6367
Sm 0.5402 0.2500 0.3633
Sm 0.6766 0.0648 0.8307
Sm 0.6766 0.4352 0.8307
Sm 0.8234 0.5648 0.3307
Sm 0.8234 0.9352 0.3307
Sm 0.9598 0.7500 0.8633
Os 0.1145 0.7500 0.4533
Os 0.3855 0.2500 0.9533
Os 0.6145 0.7500 0.0467
Os 0.8855 0.2500 0.5467